Entry from the Materials Project: an optimized crystal structure of SmZn2Ga2 (PBE).

- Space group: I4/mmm
- Total energy: -0.116 Ha/atom

abc: 6.1565 6.1565 6.1565
angles: 140.28 140.28 57.43
Closest atoms and distances in Å follow each position.
Atoms (fractional coordinates):
Sm (0.0000, 0.0000, 0.0000)  8 Ga 3.20, 8 Zn 3.42
Zn (0.7500, 0.2500, 0.5000)  4 Ga 2.56
Zn (0.2500, 0.7500, 0.5000)  4 Ga 2.56
Ga (0.6139, 0.6139, 0.0000)  1 Ga 2.46, 4 Zn 2.56
Ga (0.3861, 0.3861, 0.0000)  1 Ga 2.46, 4 Zn 2.56

Entry from the Materials Project: an optimized crystal structure of Sm2ZnGa (PBE).

- Space group: Fm-3m
- Total energy: -0.143 Ha/atom

abc: 5.1693 5.1693 5.1693
angles: 60.00 60.00 60.00
Closest atoms and distances in Å follow each position.
Atoms (fractional coordinates):
Sm (0.2500, 0.2500, 0.2500)  4 Ga 3.17, 4 Zn 3.17
Sm (0.7500, 0.7500, 0.7500)  4 Ga 3.17, 4 Zn 3.17
Zn (0.0000, 0.0000, 0.0000)  8 Sm 3.17
Ga (0.5000, 0.5000, 0.5000)  8 Sm 3.17

no.,E_form (eV/atom)
1,-0.486
2,-0.464